1.
Here is a relaxed structure of CeSe2 from the Materials Project. Energies are from PBE.

```
6
Lattice="4.302 0.000 0.000 -2.151 3.725 0.000 0.000 0.000 23.856" Properties=species:S:1:pos:R:3 pbc="T T T"
Ce 0.000 0.000 0.000
Ce 0.000 0.000 11.928
Se 0.000 2.484 1.447
Se 0.000 2.484 10.482
Se 2.151 1.242 13.375
Se 2.151 1.242 22.410
```

Output
* E_tot: -5.8482 eV/atom

***

2.
Here is a relaxed structure of CaEu2B2O7 from the Materials Project. Energies are from PBE.

```
72
Lattice="4.446 2.567 12.736 -4.446 2.567 12.736 0.000 -5.134 12.736" Properties=species:S:1:pos:R:3 pbc="T T T"
Ca -1.551 -2.402 12.736
Ca -3.142 -0.023 19.104
Ca -1.305 2.544 12.736
Ca 1.591 -2.709 19.104
Ca 2.855 -0.142 12.736
Ca 1.551 2.732 19.104
Eu -3.082 0.019 14.823
Eu -1.235 -2.160 17.050
Eu -3.193 -0.417 23.417
Eu -1.364 -2.548 21.191
Eu 1.525 -2.679 14.823
Eu -1.253 2.150 17.050
Eu -1.525 2.455 21.191
Eu 1.958 -2.556 23.418
Eu 2.489 0.011 17.050
Eu 1.557 2.660 14.823
Eu 2.889 0.093 21.191
Eu 1.235 2.973 23.418
B 0.000 0.000 0.195
B 0.000 0.000 2.934
B 0.000 0.000 6.048
B 0.000 0.000 8.848
B 0.000 0.000 11.934
B 0.000 0.000 14.673
B 0.000 0.000 19.299
B 0.000 0.000 22.037
B 0.000 0.000 25.152
B 0.000 0.000 27.952
B 0.000 0.000 31.037
B 0.000 0.000 33.777
O -3.682 1.414 12.919
O -3.698 -1.399 21.046
O -0.772 -3.994 15.613
O -1.384 0.071 8.820
O -1.371 -0.100 11.983
O 0.616 -3.896 12.919
O -0.615 -3.888 18.812
O -2.229 -2.564 23.303
O -2.217 0.003 16.935
O 0.631 -1.234 8.820
O -0.637 -1.232 14.679
O -3.073 2.666 15.613
O -3.059 2.477 18.812
O 0.773 -1.137 11.983
O -0.764 -1.153 19.287
O -0.749 1.168 14.679
O 0.753 1.163 8.820
O -1.373 0.099 21.981
O 1.106 -1.921 16.935
O 0.599 1.238 11.983
O -1.387 -0.090 25.180
O -0.616 1.238 19.287
O 1.386 0.064 14.679
O 0.601 -1.238 21.981
O -0.631 -1.234 27.924
O -0.773 -1.137 31.087
O 1.380 -0.085 19.287
O 0.771 -1.156 25.180
O 1.111 1.918 16.935
O -1.106 3.213 23.303
O -0.753 1.163 27.924
O 3.061 -2.503 21.047
O 0.772 1.140 21.981
O 0.615 1.246 25.180
O -0.599 1.238 31.087
O 3.066 2.482 12.919
O 0.637 3.902 21.047
O 1.384 0.071 27.924
O 3.845 1.329 15.613
O 3.335 -0.649 23.303
O 1.371 -0.100 31.087
O 3.675 1.411 18.812
```

Output
* E_tot: -8.6166 eV/atom
* size of the total moment: 12.0 μB per formula unit

***

3.
Here is a relaxed structure of YGeRh from the Materials Project. Energies are from PBE.

```
12
Lattice="6.952 0.000 0.000 0.000 4.321 0.000 0.000 0.000 7.610" Properties=species:S:1:pos:R:3 pbc="T T T"
Y 0.026 1.080 1.491
Y 3.450 3.241 5.296
Y 3.502 1.080 2.314
Y 6.926 3.241 6.119
Ge 1.469 3.241 3.009
Ge 2.008 1.080 6.814
Ge 4.945 3.241 0.796
Ge 5.484 1.080 4.601
Rh 1.088 1.080 4.327
Rh 2.388 3.241 0.522
Rh 4.565 1.080 7.088
Rh 5.864 3.241 3.283
```

Output
* E_tot: -7.1350 eV/atom

***

4.
Here is a relaxed structure of Mo12P from the Materials Project. Energies are from PBE.

```
26
Lattice="5.043 2.911 4.859 -5.043 2.911 4.859 0.000 -5.823 4.859" Properties=species:S:1:pos:R:3 pbc="T T T"
Mo -1.558 -0.369 2.591
Mo -0.990 -4.520 5.254
Mo -1.845 -2.001 4.859
Mo -2.453 -3.518 7.501
Mo -2.638 0.449 4.994
Mo -3.171 -1.017 7.526
Mo -3.419 3.117 5.254
Mo 1.099 -1.165 2.591
Mo 0.930 -2.509 4.994
Mo 0.459 1.534 2.591
Mo -0.439 -1.740 7.116
Mo -0.811 2.598 4.859
Mo -1.288 1.250 7.116
Mo -1.801 -0.573 10.059
Mo -1.820 3.884 7.501
Mo 2.656 -0.597 4.859
Mo 1.708 2.060 4.994
Mo 2.467 -2.237 7.526
Mo 1.727 0.490 7.116
Mo 1.397 -1.273 10.059
Mo 0.704 3.255 7.526
Mo 0.404 1.847 10.059
Mo 4.409 1.403 5.254
Mo 4.273 -0.366 7.501
P 0.000 0.000 8.630
P 0.000 0.000 12.889
```

Output
* E_tot: -10.0283 eV/atom
* size of the total moment: 0.0 μB per formula unit

***

5.
Here is a relaxed structure of Sr6Nb2O11 from the Materials Project. Energies are from PBE.

```
38
Lattice="5.997 0.000 0.000 -2.979 5.231 0.000 -0.138 -2.998 19.608" Properties=species:S:1:pos:R:3 pbc="T T T"
Sr 0.000 0.000 0.000
Sr -1.477 1.041 9.753
Sr -0.362 2.617 1.931
Sr 1.021 -1.265 11.628
Sr -0.133 0.813 18.032
Sr 1.752 -0.317 8.106
Sr 2.365 0.145 4.450
Sr 0.879 1.830 14.155
Sr 2.906 -0.747 17.098
Sr 1.713 3.391 7.335
Sr 2.631 4.003 3.528
Sr 4.002 0.211 13.339
Nb 0.374 -2.092 15.617
Nb -0.596 1.758 5.878
Nb 2.825 1.312 0.951
Nb 1.360 2.413 10.745
O -0.477 0.009 5.277
O -2.605 2.454 14.022
O -0.621 -0.430 15.539
O -1.198 2.861 4.274
O -1.869 2.545 17.307
O 1.259 0.664 2.456
O 0.225 1.060 12.295
O -0.530 3.486 6.539
O -0.347 4.859 0.268
O 1.098 0.988 9.677
O -0.153 3.385 9.826
O 1.327 -0.726 19.392
O 2.266 -1.360 14.873
O 1.377 1.700 5.897
O 1.903 1.653 16.412
O 4.158 0.337 2.198
O 4.338 -1.404 11.842
O 2.974 1.536 11.564
O 3.126 2.986 1.643
O 4.173 0.805 7.439
O 4.219 -1.045 18.979
O 2.802 3.422 9.242
```

Output
* E_tot: -6.9416 eV/atom
* size of the total moment: 0.0 μB per formula unit

***

6.
Here is a relaxed structure of Cs2CuMoBr6 from the Materials Project. Energies are from PBE.

```
10
Lattice="0.000 5.385 5.385 5.385 0.000 5.385 5.385 5.385 0.000" Properties=species:S:1:pos:R:3 pbc="T T T"
Cs 2.692 2.692 2.692
Cs 8.077 8.077 8.077
Cu 0.000 0.000 0.000
Mo 5.385 5.385 5.385
Br 5.385 5.385 2.730
Br 5.385 2.730 5.385
Br 8.039 5.385 5.385
Br 2.730 5.385 5.385
Br 5.385 8.039 5.385
Br 5.385 5.385 8.039
```

Output
* E_tot: -3.6067 eV/atom
* size of the total moment: 3.0 μB per formula unit

***

7.
Here is a relaxed structure of LaMg6Ni from the Materials Project. Energies are from PBE.

```
16
Lattice="-1.192 1.441 -4.567 -1.095 -5.570 -1.472 -12.475 1.470 3.721" Properties=species:S:1:pos:R:3 pbc="T T T"
Mg -10.717 1.263 3.197
Mg -5.027 -2.257 0.600
Mg -6.401 -0.024 -1.003
Mg -10.332 -1.632 2.182
Mg -1.788 -4.104 -0.828
Mg -3.547 0.418 1.058
Mg -1.225 -1.241 -0.072
Mg -6.947 -2.802 -1.737
Mg -12.637 0.718 0.860
Mg -7.478 -0.584 1.768
Mg -13.186 -2.074 0.122
Mg -8.011 -3.291 1.053
La -9.296 1.745 0.311
La -3.605 -1.775 -2.285
Ni -2.079 0.895 -1.841
Ni -8.864 -1.155 -0.717
```

Output
* E_tot: -2.5245 eV/atom
* size of the total moment: 0.0 μB per formula unit

***

8.
Here is a relaxed structure of HfGaRh2 from the Materials Project. Energies are from PBE.

```
4
Lattice="0.000 3.159 3.159 3.159 0.000 3.159 3.159 3.159 0.000" Properties=species:S:1:pos:R:3 pbc="T T T"
Hf 0.000 0.000 0.000
Ga 3.159 3.159 3.159
Rh 1.580 1.580 1.580
Rh 4.739 4.739 4.739
```

Output
* E_tot: -7.8227 eV/atom

***

9.
Here is a relaxed structure of MgCu2SiS4 from the Materials Project. Energies are from PBE.

```
16
Lattice="7.567 0.000 0.000 0.000 6.458 0.000 0.000 0.000 6.204" Properties=species:S:1:pos:R:3 pbc="T T T"
Mg 0.000 0.998 0.000
Mg 3.783 5.460 3.102
Cu 1.874 2.084 3.162
Cu 1.910 4.374 0.060
Cu 5.657 4.374 0.060
Cu 5.693 2.084 3.162
Si 0.000 5.309 3.113
Si 3.783 1.149 0.011
S 0.000 0.908 2.472
S 0.000 5.204 5.268
S 1.734 4.273 2.356
S 2.049 2.185 5.458
S 3.783 1.254 2.166
S 3.783 5.549 5.574
S 5.518 2.185 5.458
S 5.832 4.273 2.356
```

Output
* E_tot: -4.6768 eV/atom
* size of the total moment: 0.0 μB per formula unit

***

10.
Here is a relaxed structure of CaTiSi2O6 from the Materials Project. Energies are from PBE.

```
80
Lattice="5.412 0.000 0.000 0.000 19.306 0.000 0.000 0.000 9.677" Properties=species:S:1:pos:R:3 pbc="T T T"
Ca 0.656 2.354 1.442
Ca 0.656 7.299 6.280
Ca 2.051 12.007 1.442
Ca 2.051 16.951 6.280
Ca 3.362 2.354 3.397
Ca 3.362 7.299 8.235
Ca 4.757 12.007 3.397
Ca 4.757 16.951 8.235
Ti 0.728 2.442 5.040
Ti 0.728 7.211 0.201
Ti 1.978 12.095 5.040
Ti 1.978 16.863 0.201
Ti 3.434 2.442 9.476
Ti 3.434 7.211 4.637
Ti 4.684 12.095 9.476
Ti 4.684 16.863 4.637
Si 0.277 14.064 6.427
Si 0.277 14.894 1.589
Si 1.228 0.495 8.062
Si 1.228 9.157 3.223
Si 1.479 10.148 8.062
Si 1.479 18.810 3.223
Si 2.429 4.411 6.427
Si 2.429 5.242 1.589
Si 2.983 14.064 8.088
Si 2.983 14.894 3.250
Si 3.934 0.495 6.454
Si 3.934 9.157 1.615
Si 4.185 10.148 6.454
Si 4.185 18.810 1.615
Si 5.135 4.411 8.088
Si 5.135 5.242 3.250
O 0.147 13.277 1.477
O 0.147 15.682 6.315
O 0.281 13.275 5.024
O 0.281 15.683 0.186
O 0.376 10.579 6.840
O 0.376 18.379 2.001
O 0.934 3.897 7.045
O 0.934 5.755 2.207
O 1.028 10.963 9.369
O 1.028 17.995 4.531
O 1.289 10.782 3.358
O 1.289 18.176 8.197
O 1.417 1.129 3.358
O 1.417 8.524 8.197
O 1.678 1.310 9.369
O 1.678 8.343 4.531
O 1.773 13.550 7.045
O 1.773 15.408 2.207
O 2.330 0.926 6.840
O 2.330 8.727 2.001
O 2.425 3.623 5.024
O 2.425 6.030 0.186
O 2.559 3.624 1.477
O 2.559 6.029 6.315
O 2.853 13.277 3.362
O 2.853 15.682 8.200
O 2.987 13.275 9.491
O 2.987 15.683 4.653
O 3.082 10.579 7.676
O 3.082 18.379 2.837
O 3.640 3.897 7.470
O 3.640 5.755 2.632
O 3.735 10.963 5.146
O 3.735 17.995 0.308
O 3.995 10.782 1.480
O 3.995 18.176 6.319
O 4.124 1.129 1.480
O 4.124 8.524 6.319
O 4.384 1.310 5.146
O 4.384 8.343 0.308
O 4.479 13.550 7.470
O 4.479 15.408 2.632
O 5.036 0.926 7.676
O 5.036 8.727 2.837
O 5.131 3.623 9.491
O 5.131 6.030 4.653
O 5.266 3.624 3.362
O 5.266 6.029 8.200
```

Output
* E_tot: -7.7033 eV/atom
* size of the total moment: 2.0 μB per formula unit

***

11.
Here is a relaxed structure of BaMg6Zn from the Materials Project. Energies are from PBE.

```
8
Lattice="5.021 0.000 0.000 0.000 3.055 7.163 0.000 -3.055 7.163" Properties=species:S:1:pos:R:3 pbc="T T T"
Ba 0.000 0.000 0.000
Mg 0.000 -1.463 10.457
Mg 0.000 1.463 10.457
Mg 2.511 -1.507 5.229
Mg 2.511 0.000 2.401
Mg 2.511 0.000 8.451
Mg 2.511 1.507 5.229
Zn 0.000 0.000 5.655
```

Output
* E_tot: -1.5586 eV/atom
* size of the total moment: 0.0 μB per formula unit

***

12.
Here is a relaxed structure of PrGeRh from the Materials Project. Energies are from PBE.

```
12
Lattice="7.259 0.000 0.000 0.000 4.491 0.000 0.000 0.000 7.579" Properties=species:S:1:pos:R:3 pbc="T T T"
Pr 0.121 1.123 1.518
Pr 3.509 3.368 5.308
Pr 3.751 1.123 2.272
Pr 7.139 3.368 6.062
Ge 1.359 1.123 4.447
Ge 2.271 3.368 0.657
Ge 4.988 1.123 6.922
Ge 5.901 3.368 3.132
Rh 1.401 3.368 3.146
Rh 2.229 1.123 6.935
Rh 5.030 3.368 0.644
Rh 5.859 1.123 4.434
```

Output
* E_tot: -6.4484 eV/atom

***

13.
Here is a relaxed structure of Be2TlF5 from the Materials Project. Energies are from PBE.

```
32
Lattice="8.182 0.000 0.000 0.000 4.708 0.000 -0.196 0.000 12.829" Properties=species:S:1:pos:R:3 pbc="T T T"
Be 1.330 0.114 2.594
Be 1.232 4.594 9.008
Be 2.549 2.234 10.167
Be 2.647 2.474 3.753
Be 5.339 2.234 9.075
Be 5.437 2.474 2.661
Be 6.754 0.114 3.820
Be 6.656 4.594 10.235
Tl 0.000 2.354 0.000
Tl -0.098 2.354 6.414
Tl 4.091 0.000 0.000
Tl 3.993 0.000 6.414
F -0.147 0.352 9.621
F -0.049 4.356 3.207
F 1.274 0.046 7.500
F 1.372 4.663 1.086
F 1.541 1.631 3.000
F 1.443 3.078 9.414
F 2.366 0.726 9.719
F 2.464 3.982 3.305
F 2.565 2.343 5.262
F 2.467 2.365 11.676
F 4.042 1.982 3.207
F 3.944 2.726 9.621
F 5.519 2.343 1.152
F 5.421 2.365 7.567
F 5.522 0.726 9.524
F 5.620 3.982 3.110
F 6.543 1.631 3.415
F 6.445 3.078 9.829
F 6.614 0.046 11.743
F 6.712 4.663 5.329
```

Output
* E_tot: -5.3360 eV/atom
* size of the total moment: 0.0 μB per formula unit